(1)
The following is a DFT calculation (GGA+U) of a relaxed MnB10H26O8 crystal.

abc: 6.905 7.481 18.710
angles: 80.35 79.37 62.52
Atoms (fractional coordinates):
O 0.136 0.611 0.585
O 0.191 0.238 0.547
O 0.024 0.738 0.047
O 0.673 0.174 0.508
O 0.809 0.762 0.453
O 0.332 0.889 0.915
O 0.668 0.111 0.085
O 0.864 0.389 0.415
O 0.645 0.674 0.008
O 0.604 0.848 0.610
O 0.976 0.262 0.953
O 0.327 0.826 0.492
O 0.938 0.348 0.110
O 0.062 0.652 0.890
O 0.355 0.326 0.992
O 0.396 0.152 0.390
H 0.638 0.465 0.595
H 0.397 0.927 0.867
H 0.088 0.204 0.583
H 0.259 0.753 0.530
H 0.966 0.029 0.645
H 0.459 0.253 0.030
H 0.716 0.868 0.762
H 0.641 0.471 0.855
H 0.034 0.971 0.355
H 0.143 0.562 0.850
H 0.264 0.807 0.905
H 0.054 0.225 0.132
H 0.809 0.427 0.367
H 0.090 0.545 0.289
H 0.541 0.747 0.970
H 0.330 0.783 0.445
H 0.402 0.206 0.673
H 0.910 0.455 0.711
H 0.912 0.796 0.417
H 0.598 0.794 0.327
H 0.654 0.368 0.262
H 0.284 0.132 0.238
H 0.857 0.438 0.150
H 0.874 0.296 0.917
H 0.442 0.283 0.945
H 0.191 0.573 0.633
H 0.302 0.965 0.095
H 0.282 0.294 0.827
H 0.177 0.368 0.559
H 0.698 0.035 0.905
H 0.362 0.535 0.405
H 0.077 0.045 0.789
H 0.718 0.706 0.173
H 0.024 0.307 0.405
H 0.346 0.632 0.738
H 0.556 0.938 0.650
H 0.603 0.073 0.133
H 0.976 0.693 0.595
H 0.444 0.062 0.350
H 0.589 0.725 0.632
H 0.823 0.632 0.441
H 0.558 0.717 0.055
H 0.104 0.132 0.941
H 0.946 0.775 0.868
H 0.411 0.275 0.368
H 0.736 0.193 0.095
H 0.359 0.529 0.145
H 0.741 0.247 0.470
H 0.670 0.217 0.555
H 0.923 0.955 0.211
H 0.896 0.868 0.059
H 0.126 0.704 0.083
B 0.536 0.736 0.202
B 0.505 0.536 0.263
B 0.313 0.881 0.156
B 0.204 0.630 0.278
B 0.526 0.236 0.702
B 0.796 0.370 0.722
B 0.474 0.764 0.298
B 0.650 0.381 0.656
B 0.495 0.464 0.737
B 0.344 0.643 0.187
B 0.350 0.619 0.344
B 0.174 0.857 0.313
B 0.696 0.036 0.763
B 0.112 0.870 0.222
B 0.656 0.357 0.813
B 0.464 0.264 0.798
B 0.888 0.130 0.778
B 0.826 0.143 0.687
B 0.687 0.119 0.844
B 0.304 0.964 0.237
Mn 0.000 0.500 0.000
Mn 0.500 0.000 0.500

Calculated values
- V (Å³/cell) = 838.9
- calculated formation energy (meV/atom) = -728
- VASP energy (eV per atom) = -5.10

---

(2)
The following is a DFT calculation (GGA+U) of a relaxed NaSr12Ni7O23 crystal.

abc: 8.017 9.570 9.687
angles: 119.37 90.33 90.07
Atoms (fractional coordinates):
O 0.527 0.159 0.695
O 0.998 0.020 0.856
O 0.762 0.838 0.362
O 0.456 0.503 0.308
O 0.716 0.007 0.168
O 0.285 0.180 0.024
O 0.188 0.497 0.619
O 0.998 0.845 0.993
O 0.528 0.310 0.471
O 0.472 0.697 0.193
O 0.770 0.636 0.473
O 0.191 0.131 0.495
O 0.285 0.984 0.157
O 0.282 0.849 0.833
O 0.473 0.811 0.502
O 0.086 0.637 0.180
O 0.765 0.527 0.174
O 0.092 0.779 0.482
O 0.525 0.535 0.842
O 0.998 0.159 0.165
O 0.716 0.836 0.839
O 0.715 0.168 0.995
O 0.197 0.358 0.851
Sr 0.267 0.296 0.332
Sr 0.721 0.322 0.294
Sr 0.260 0.667 0.971
Sr 0.001 0.714 0.688
Sr 0.494 0.633 0.639
Sr 0.503 0.009 0.370
Sr 0.009 0.961 0.289
Sr 0.493 0.360 0.993
Sr 0.725 0.706 0.030
Sr 0.729 0.975 0.675
Sr 0.007 0.325 0.020
Sr 0.259 0.027 0.694
Ni 0.286 0.685 0.335
Ni 0.842 0.006 0.002
Ni 0.129 0.331 0.656
Ni 0.448 0.334 0.669
Ni 0.158 0.006 0.004
Ni 0.611 0.669 0.336
Ni 0.927 0.664 0.332
Na 0.499 0.000 0.998

Calculated values
- V (Å³/cell) = 647.7
- calculated formation energy (meV/atom) = -2165
- VASP energy (eV per atom) = -5.47

---

(3)
The following is a DFT calculation (GGA+U) of a relaxed Mn4Cu3O12 crystal.

abc: 6.290 6.290 6.306
angles: 70.46 109.51 70.59
Atoms (fractional coordinates):
Cu 0.000 0.500 0.500
Cu 0.500 0.000 0.500
Cu 0.500 0.500 0.000
O 0.686 0.178 0.504
O 0.683 0.821 0.862
O 0.314 0.822 0.496
O 0.820 0.496 0.683
O 0.504 0.317 0.821
O 0.864 0.314 0.182
O 0.136 0.686 0.818
O 0.180 0.504 0.317
O 0.178 0.136 0.682
O 0.822 0.864 0.318
O 0.496 0.683 0.179
O 0.317 0.179 0.138
Mn 0.000 0.000 0.500
Mn 0.500 0.500 0.500
Mn 0.500 0.000 0.000
Mn 0.000 0.500 0.000

Calculated values
- V (Å³/cell) = 191.9
- calculated formation energy (meV/atom) = -1413
- VASP energy (eV per atom) = -6.33